<w>
Density functional theory data (PBE with a Hubbard U) for an optimized crystal structure of Li3NiPCO7.

Unit cell a=9.4118 b=6.3291 c=9.7444 alpha=90.00 beta=116.03 gamma=90.00
Positions (direct):
Li 0.0999 0.2500 0.1830
Li 0.0999 0.2500 0.6830
Li 0.2782 0.0093 0.0086
Li 0.2782 0.4907 0.5086
Li 0.3476 0.7485 0.3137
Li 0.3476 0.7515 0.8137
Li 0.6524 0.2485 0.1863
Li 0.6524 0.2515 0.6863
Li 0.7218 0.5093 0.4914
Li 0.7218 0.9907 0.9914
Li 0.9001 0.7500 0.3170
Li 0.9001 0.7500 0.8170
Ni 0.2743 0.0094 0.5124
Ni 0.2743 0.4906 0.0124
Ni 0.7257 0.5094 0.9876
Ni 0.7257 0.9906 0.4876
P 0.4091 0.2478 0.8151
P 0.4091 0.2522 0.3151
P 0.5909 0.7478 0.6849
P 0.5909 0.7522 0.1849
C 0.0389 0.7402 0.1215
C 0.0389 0.7598 0.6215
C 0.9611 0.2402 0.3785
C 0.9611 0.2598 0.8785
O 0.0691 0.7486 0.7619
O 0.0691 0.7514 0.2619
O 0.1099 0.2350 0.4850
O 0.1099 0.2650 0.9850
O 0.1493 0.7395 0.0765
O 0.1493 0.7605 0.5765
O 0.3085 0.0590 0.3204
O 0.3085 0.4410 0.8204
O 0.3157 0.0544 0.8244
O 0.3157 0.4456 0.3244
O 0.4192 0.2442 0.6590
O 0.4192 0.2558 0.1590
O 0.4204 0.7410 0.0552
O 0.4204 0.7590 0.5552
O 0.5796 0.2410 0.4448
O 0.5796 0.2590 0.9448
O 0.5808 0.7442 0.8410
O 0.5808 0.7558 0.3410
O 0.6843 0.5544 0.6756
O 0.6843 0.9456 0.1756
O 0.6915 0.5590 0.1796
O 0.6915 0.9410 0.6796
O 0.8507 0.2395 0.4235
O 0.8507 0.2605 0.9235
O 0.8901 0.7350 0.0150
O 0.8901 0.7650 0.5150
O 0.9309 0.2486 0.7381
O 0.9309 0.2514 0.2381

<x>
Density functional theory data (PBE with a Hubbard U) for an optimized crystal structure of Li3NiPCO7.

Unit cell a=8.1236 b=8.1238 c=9.3421 alpha=74.13 beta=74.13 gamma=104.44
Positions (direct):
Li 0.1784 0.9284 0.1039
Li 0.2613 0.2772 0.7253
Li 0.5272 0.0113 0.7253
Li 0.7613 0.7772 0.7253
Li 0.8216 0.0716 0.8961
Li 0.0272 0.5113 0.7253
Li 0.3216 0.5716 0.8961
Li 0.7387 0.7228 0.2747
Li 0.9728 0.4887 0.2747
Li 0.4728 0.9887 0.2747
Li 0.2387 0.2228 0.2747
Li 0.6784 0.4284 0.1039
O 0.8713 0.1213 0.0730
O 0.8512 0.2890 0.6924
O 0.9610 0.8988 0.3076
O 0.1287 0.8787 0.9269
O 0.0390 0.1012 0.6924
O 0.4610 0.3988 0.3076
O 0.1488 0.7110 0.3076
O 0.2001 0.9501 0.4371
O 0.3815 0.1315 0.1032
O 0.0431 0.2931 0.1638
O 0.3713 0.6213 0.0731
O 0.4569 0.2069 0.8362
O 0.8815 0.6315 0.1032
O 0.7999 0.0499 0.5629
O 0.7001 0.4501 0.4371
O 0.9175 0.6675 0.5797
O 0.5390 0.6012 0.6924
O 0.6287 0.3787 0.9270
O 0.9569 0.7069 0.8362
O 0.5825 0.8325 0.4203
O 0.3512 0.7890 0.6924
O 0.6185 0.8685 0.8968
O 0.1185 0.3685 0.8968
O 0.5431 0.7931 0.1638
O 0.4175 0.1675 0.5797
O 0.6488 0.2110 0.3076
O 0.0825 0.3325 0.4203
O 0.2999 0.5499 0.5629
C 0.0118 0.2618 0.0418
C 0.9882 0.7382 0.9581
C 0.4882 0.2382 0.9582
C 0.5118 0.7618 0.0419
Ni 0.3127 0.5627 0.3325
Ni 0.8129 0.0629 0.3327
Ni 0.6871 0.4371 0.6673
Ni 0.1873 0.9373 0.6675
P 0.0540 0.8040 0.4136
P 0.4460 0.6960 0.5864
P 0.9460 0.1960 0.5864
P 0.5540 0.3040 0.4136

<y>
Density functional theory data (PBE with a Hubbard U) for an optimized crystal structure of Li3NiPCO7.

Unit cell a=6.3988 b=8.3576 c=9.9302 alpha=85.34 beta=89.86 gamma=89.64
Positions (direct):
Li 0.0000 0.0000 0.0000
Li 0.0008 0.0136 0.5117
Li 0.2242 0.1887 0.7504
Li 0.2292 0.1871 0.2426
Li 0.2611 0.6339 0.9889
Li 0.5027 0.8105 0.2363
Li 0.5071 0.8087 0.7427
Li 0.7398 0.6338 0.9874
Li 0.7492 0.6338 0.5143
Li 0.7733 0.1867 0.2426
Li 0.7787 0.1897 0.7503
Li 0.9958 0.5659 0.7413
Ni 0.0003 0.5745 0.2232
Ni 0.2532 0.6397 0.5079
Ni 0.5003 0.2426 0.0187
Ni 0.5016 0.2413 0.5207
P 0.0005 0.3212 0.9837
P 0.0047 0.3240 0.4791
P 0.4968 0.4965 0.2635
P 0.5034 0.4939 0.7590
C 0.0058 0.8695 0.7683
C 0.0068 0.8676 0.2740
C 0.4959 0.9477 0.4759
C 0.5010 0.9490 0.9748
O 0.9999 0.0200 0.7968
O 0.0014 0.3404 0.8283
O 0.0031 0.0129 0.3078
O 0.0036 0.3453 0.3215
O 0.0046 0.7586 0.8667
O 0.0080 0.4910 0.5352
O 0.0112 0.8353 0.6432
O 0.0144 0.7466 0.3681
O 0.1886 0.2167 0.0391
O 0.1901 0.2153 0.5304
O 0.3110 0.5967 0.7068
O 0.3118 0.6024 0.2082
O 0.4826 0.4757 0.4230
O 0.4838 0.7980 0.4446
O 0.4962 0.4712 0.9167
O 0.5006 0.0655 0.8796
O 0.5013 0.3278 0.2118
O 0.5008 0.9830 0.5994
O 0.5011 0.9868 0.0989
O 0.5016 0.8009 0.9450
O 0.5029 0.3248 0.7063
O 0.5057 0.0612 0.3799
O 0.6876 0.6006 0.2176
O 0.6915 0.5982 0.7113
O 0.8126 0.2172 0.0386
O 0.8142 0.2243 0.5325
O 0.9988 0.4907 0.0365
O 0.9992 0.8316 0.1505

Ordering by calculated energy gives the sequence <x>, <y>, <w>, with the first entry being the most stable.

<w>
Density functional theory data (PBE with a Hubbard U) for an optimized crystal structure of Na3CoO3.

Unit cell a=6.0959 b=7.6793 c=10.8250 alpha=90.00 beta=123.78 gamma=90.00
Positions (direct):
Na 0.0402 0.1575 0.4327
Na 0.0402 0.3425 0.9327
Na 0.2062 0.5317 0.4605
Na 0.2062 0.9683 0.9605
Na 0.3903 0.2317 0.2738
Na 0.3903 0.2683 0.7738
Na 0.6097 0.7317 0.2262
Na 0.6097 0.7683 0.7262
Na 0.7938 0.0317 0.0395
Na 0.7938 0.4683 0.5395
Na 0.9598 0.6575 0.0673
Na 0.9598 0.8425 0.5673
Co 0.2825 0.6499 0.8539
Co 0.2825 0.8501 0.3539
Co 0.7175 0.1499 0.6461
Co 0.7175 0.3501 0.1461
O 0.0154 0.6355 0.8751
O 0.0154 0.8645 0.3751
O 0.2451 0.5810 0.6860
O 0.2451 0.9190 0.1860
O 0.4447 0.2234 0.0115
O 0.4447 0.2766 0.5115
O 0.5553 0.7234 0.4885
O 0.5553 0.7766 0.9885
O 0.7549 0.0810 0.8140
O 0.7549 0.4190 0.3140
O 0.9846 0.1355 0.6249
O 0.9846 0.3645 0.1249

<x>
Density functional theory data (PBE with a Hubbard U) for an optimized crystal structure of Na3CoO3.

Unit cell a=8.3063 b=8.3063 c=8.3063 alpha=109.47 beta=109.47 gamma=109.47
Positions (direct):
Na 0.0000 0.2755 0.5122
Na 0.0000 0.5122 0.2755
Na 0.2367 0.7245 0.7245
Na 0.2755 0.0000 0.5122
Na 0.2755 0.5122 0.0000
Na 0.4878 0.4878 0.7633
Na 0.4878 0.7633 0.4878
Na 0.5122 0.0000 0.2755
Na 0.5122 0.2755 0.0000
Na 0.7245 0.2367 0.7245
Na 0.7245 0.7245 0.2367
Na 0.7633 0.4878 0.4878
Co 0.0000 0.0000 0.6370
Co 0.0000 0.6370 0.0000
Co 0.3630 0.3630 0.3630
Co 0.6370 0.0000 0.0000
O 0.0000 0.5268 0.7751
O 0.0000 0.7751 0.5268
O 0.2249 0.2249 0.7517
O 0.2249 0.7517 0.2249
O 0.2483 0.4732 0.4732
O 0.4732 0.2483 0.4732
O 0.4732 0.4732 0.2483
O 0.5268 0.0000 0.7751
O 0.5268 0.7751 0.0000
O 0.7517 0.2249 0.2249
O 0.7751 0.0000 0.5268
O 0.7751 0.5268 0.0000

Ordering by calculated energy gives the sequence <x>, <w>, with the first entry being the most stable.

<w>
Density functional theory data (PBE with a Hubbard U) for an optimized crystal structure of Li9Co7O16.

Unit cell a=2.9836 b=9.7442 c=10.1137 alpha=77.45 beta=89.19 gamma=88.67
Positions (direct):
Li 0.0000 0.0000 0.0000
Li 0.0000 0.0000 0.5000
Li 0.0029 0.4998 0.2558
Li 0.4978 0.7510 0.1272
Li 0.4989 0.2485 0.3786
Li 0.5000 0.5000 0.5000
Li 0.5011 0.7515 0.6214
Li 0.5022 0.2490 0.8728
Li 0.9971 0.5002 0.7442
Co 0.0017 0.7396 0.3793
Co 0.0025 0.7508 0.8696
Co 0.4970 0.0028 0.7494
Co 0.5000 0.5000 0.0000
Co 0.5030 0.9972 0.2506
Co 0.9975 0.2492 0.1304
Co 0.9983 0.2604 0.6207
O 0.0013 0.8781 0.6958
O 0.0025 0.6401 0.5445
O 0.0087 0.8696 0.2039
O 0.0120 0.6229 0.0501
O 0.4589 0.1258 0.5741
O 0.4700 0.6341 0.3173
O 0.4875 0.3704 0.1838
O 0.4968 0.8776 0.9270
O 0.5032 0.1224 0.0730
O 0.5125 0.6296 0.8162
O 0.5300 0.3659 0.6827
O 0.5411 0.8742 0.4259
O 0.9880 0.3771 0.9499
O 0.9913 0.1304 0.7961
O 0.9975 0.3599 0.4555
O 0.9987 0.1219 0.3042

<x>
Density functional theory data (PBE with a Hubbard U) for an optimized crystal structure of Li9Co7O16.

Unit cell a=2.9155 b=2.9155 c=38.8511 alpha=91.80 beta=91.80 gamma=59.86
Positions (direct):
Li 0.0000 0.0000 0.0000
Li 0.0595 0.0595 0.1872
Li 0.1843 0.1843 0.5624
Li 0.3149 0.3149 0.9398
Li 0.4367 0.4367 0.3127
Li 0.5633 0.5633 0.6873
Li 0.6851 0.6851 0.0602
Li 0.8157 0.8157 0.4376
Li 0.9405 0.9405 0.8128
Co 0.1256 0.1256 0.3752
Co 0.2506 0.2506 0.7504
Co 0.3771 0.3771 0.1252
Co 0.5000 0.5000 0.5000
Co 0.6229 0.6229 0.8748
Co 0.7494 0.7494 0.2496
Co 0.8744 0.8744 0.6248
O 0.0487 0.0487 0.0991
O 0.1146 0.1146 0.2772
O 0.1721 0.1721 0.4713
O 0.2228 0.2228 0.6540
O 0.2964 0.2964 0.8469
O 0.3471 0.3471 0.0322
O 0.3837 0.3837 0.2217
O 0.4751 0.4751 0.4039
O 0.5249 0.5249 0.5961
O 0.6163 0.6163 0.7783
O 0.6529 0.6529 0.9678
O 0.7036 0.7036 0.1531
O 0.7772 0.7772 0.3460
O 0.8279 0.8279 0.5287
O 0.8854 0.8854 0.7228
O 0.9513 0.9513 0.9009

<y>
Density functional theory data (PBE with a Hubbard U) for an optimized crystal structure of Li9Co7O16.

Unit cell a=4.9778 b=2.9969 c=19.2947 alpha=90.00 beta=92.26 gamma=90.00
Positions (direct):
Li 0.0000 0.0000 0.0000
Li 0.1190 0.5000 0.8778
Li 0.1255 0.0000 0.3750
Li 0.3744 0.5000 0.6249
Li 0.3754 0.0000 0.1217
Li 0.6246 0.0000 0.8783
Li 0.6256 0.5000 0.3751
Li 0.8745 0.0000 0.6250
Li 0.8810 0.5000 0.1222
Co 0.0000 0.5000 0.5000
Co 0.2496 0.0000 0.7503
Co 0.2506 0.5000 0.2494
Co 0.5000 0.0000 0.5000
Co 0.5000 0.5000 0.0000
Co 0.7494 0.5000 0.7506
Co 0.7504 0.0000 0.2497
O 0.0533 0.5000 0.6927
O 0.0536 0.0000 0.1906
O 0.1884 0.0000 0.5572
O 0.2243 0.5000 0.0556
O 0.3115 0.5000 0.4429
O 0.3360 0.0000 0.9468
O 0.4435 0.5000 0.8076
O 0.4455 0.0000 0.3074
O 0.5545 0.0000 0.6926
O 0.5565 0.5000 0.1924
O 0.6640 0.0000 0.0532
O 0.6885 0.5000 0.5571
O 0.7757 0.5000 0.9444
O 0.8116 0.0000 0.4428
O 0.9464 0.0000 0.8094
O 0.9467 0.5000 0.3073

<z>
Density functional theory data (PBE with a Hubbard U) for an optimized crystal structure of Li9Co7O16.

Unit cell a=5.0631 b=5.8277 c=10.3600 alpha=73.79 beta=76.11 gamma=73.27
Positions (direct):
Li 0.0000 0.0000 0.0000
Li 0.4974 0.5620 0.6269
Li 0.4973 0.6917 0.8774
Li 0.4975 0.0632 0.6230
Li 0.4981 0.1804 0.8819
Li 0.5019 0.8196 0.1181
Li 0.5025 0.9368 0.3770
Li 0.5027 0.3083 0.1226
Li 0.5026 0.4380 0.3731
Co 0.0000 0.5000 0.0000
Co 0.0006 0.2485 0.5005
Co 0.0034 0.3706 0.7549
Co 0.0045 0.1243 0.2401
Co 0.9955 0.8757 0.7599
Co 0.9966 0.6294 0.2451
Co 0.9994 0.7515 0.4995
O 0.2144 0.6417 0.0750
O 0.2211 0.3050 0.3144
O 0.2210 0.7754 0.3103
O 0.2218 0.5251 0.8190
O 0.2235 0.4061 0.5737
O 0.2287 0.1728 0.0683
O 0.2317 0.9040 0.5643
O 0.2326 0.0574 0.8028
O 0.7674 0.9426 0.1972
O 0.7683 0.0960 0.4357
O 0.7713 0.8272 0.9317
O 0.7765 0.5939 0.4263
O 0.7782 0.4749 0.1810
O 0.7790 0.2246 0.6897
O 0.7789 0.6950 0.6856
O 0.7856 0.3583 0.9250

Ordering by calculated energy gives the sequence <z>, <w>, <y>, <x>, with the first entry being the most stable.